Arrangement w

DFT (PBE with a Hubbard U) results for a relaxed FeP4O12 crystal.

Cell lengths 7.0828, 7.0828, 9.5141 Å; angles 91.54, 91.54, 108.98 degrees
Atoms (fractional coordinates):
Fe 0.1045 0.8955 0.7500
Fe 0.8955 0.1045 0.2500
P 0.2043 0.2804 0.5285
P 0.2770 0.6285 0.9664
P 0.2804 0.2043 0.0285
P 0.3715 0.7230 0.5336
P 0.6285 0.2770 0.4664
P 0.7196 0.7957 0.9715
P 0.7230 0.3715 0.0336
P 0.7957 0.7196 0.4715
O 0.0714 0.2829 0.4031
O 0.1200 0.1423 0.6445
O 0.1324 0.6583 0.8564
O 0.1423 0.1200 0.1445
O 0.2323 0.3942 0.9692
O 0.2702 0.7245 0.1083
O 0.2755 0.7298 0.3917
O 0.2829 0.0714 0.9031
O 0.2984 0.5016 0.5978
O 0.3417 0.8676 0.6436
O 0.3942 0.2323 0.4692
O 0.4984 0.7016 0.9022
O 0.5016 0.2984 0.0978
O 0.6058 0.7677 0.5308
O 0.6583 0.1324 0.3564
O 0.7016 0.4984 0.4022
O 0.7171 0.9286 0.0969
O 0.7245 0.2702 0.6083
O 0.7298 0.2755 0.8917
O 0.7677 0.6058 0.0308
O 0.8577 0.8800 0.8555
O 0.8676 0.3417 0.1436
O 0.8800 0.8577 0.3555
O 0.9286 0.7171 0.5969

Total moment: 6.0 μB per formula unit


Arrangement x

DFT (PBE with a Hubbard U) results for a relaxed FeP4O12 crystal.

Cell lengths 13.0805, 8.3836, 9.4119 Å; angles 90.00, 90.00, 90.00 degrees
Atoms (fractional coordinates):
Fe 0.0000 0.1369 0.2500
Fe 0.0000 0.8631 0.7500
Fe 0.5000 0.3631 0.7500
Fe 0.5000 0.6369 0.2500
P 0.1479 0.0398 0.5161
P 0.1481 0.3132 0.0156
P 0.1481 0.6868 0.5156
P 0.1479 0.9602 0.0161
P 0.3519 0.1868 0.5156
P 0.3521 0.4602 0.0161
P 0.3521 0.5398 0.5161
P 0.3519 0.8132 0.0156
P 0.6481 0.1868 0.9844
P 0.6479 0.4602 0.4839
P 0.6479 0.5398 0.9839
P 0.6481 0.8132 0.4844
P 0.8521 0.0398 0.9839
P 0.8519 0.3132 0.4844
P 0.8519 0.6868 0.9844
P 0.8521 0.9602 0.4839
O 0.0690 0.0309 0.6323
O 0.0690 0.9691 0.1323
O 0.0697 0.3041 0.1334
O 0.0697 0.6959 0.6334
O 0.1159 0.4060 0.8872
O 0.1159 0.5940 0.3872
O 0.1216 0.1318 0.3840
O 0.1216 0.8682 0.8840
O 0.1853 0.1363 0.9723
O 0.1853 0.8637 0.4723
O 0.2488 0.1157 0.5853
O 0.2488 0.8843 0.0853
O 0.2512 0.3843 0.0853
O 0.2512 0.6157 0.5853
O 0.3147 0.3637 0.4723
O 0.3147 0.6363 0.9723
O 0.3784 0.3682 0.8840
O 0.3784 0.6318 0.3840
O 0.3841 0.0940 0.3872
O 0.3841 0.9060 0.8872
O 0.4303 0.1959 0.6334
O 0.4303 0.8041 0.1334
O 0.4310 0.4691 0.1323
O 0.4310 0.5309 0.6323
O 0.5690 0.4691 0.3677
O 0.5690 0.5309 0.8677
O 0.5697 0.1959 0.8666
O 0.5697 0.8041 0.3666
O 0.6159 0.0940 0.1128
O 0.6159 0.9060 0.6128
O 0.6216 0.3682 0.6160
O 0.6216 0.6318 0.1160
O 0.6853 0.3637 0.0277
O 0.6853 0.6363 0.5277
O 0.7488 0.3843 0.4147
O 0.7488 0.6157 0.9147
O 0.7512 0.1157 0.9147
O 0.7512 0.8843 0.4147
O 0.8147 0.1363 0.5277
O 0.8147 0.8637 0.0277
O 0.8784 0.1318 0.1160
O 0.8784 0.8682 0.6160
O 0.8841 0.4060 0.6128
O 0.8841 0.5940 0.1128
O 0.9303 0.3041 0.3666
O 0.9303 0.6959 0.8666
O 0.9310 0.0309 0.8677
O 0.9310 0.9691 0.3677

Total moment: 4.0 μB per formula unit


The computed energies, referenced to the most stable structure and given in eV/atom, are arrangement w 0.022; arrangement x 0.000.


Arrangement w

DFT (PBE with a Hubbard U) results for a relaxed CaMn3V4O12 crystal.

Cell lengths 6.5243, 6.5243, 6.5243 Å; angles 109.47, 109.47, 109.47 degrees
Atoms (fractional coordinates):
Ca 0.0000 0.0000 0.0000
Mn 0.0000 0.5000 0.5000
Mn 0.5000 0.0000 0.5000
Mn 0.5000 0.5000 0.0000
V 0.0000 0.0000 0.5000
V 0.0000 0.5000 0.0000
V 0.5000 0.0000 0.0000
V 0.5000 0.5000 0.5000
O 0.1101 0.3006 0.8095
O 0.1905 0.4911 0.3006
O 0.1905 0.8899 0.6994
O 0.3006 0.1905 0.4911
O 0.3006 0.8095 0.1101
O 0.4911 0.3006 0.1905
O 0.5089 0.6994 0.8095
O 0.6994 0.1905 0.8899
O 0.6994 0.8095 0.5089
O 0.8095 0.1101 0.3006
O 0.8095 0.5089 0.6994
O 0.8899 0.6994 0.1905

Total moment: 19.0 μB per formula unit


Arrangement x

DFT (PBE with a Hubbard U) results for a relaxed CaMn3V4O12 crystal.

Cell lengths 7.5155, 7.5508, 7.5547 Å; angles 90.16, 90.08, 90.08 degrees
Atoms (fractional coordinates):
Ca 0.0000 0.0000 0.0000
Ca 0.4963 0.5019 0.5015
Mn 0.0054 0.5005 0.0009
Mn 0.4971 0.0015 0.5003
Mn 0.4985 0.0007 0.9985
Mn 0.4985 0.4995 0.0003
Mn 0.9973 0.0001 0.5012
Mn 0.9979 0.5010 0.5017
V 0.2475 0.2508 0.7503
V 0.2480 0.2504 0.2508
V 0.2481 0.7510 0.7505
V 0.2489 0.7515 0.2509
V 0.7482 0.2508 0.2506
V 0.7479 0.2511 0.7504
V 0.7483 0.7508 0.7508
V 0.7491 0.7503 0.2504
O 0.0022 0.2928 0.1900
O 0.0052 0.7079 0.1952
O 0.1874 0.0004 0.2991
O 0.1964 0.0087 0.7058
O 0.2004 0.3123 0.5011
O 0.2022 0.6948 0.5091
O 0.2941 0.8073 0.9922
O 0.2961 0.1897 0.0003
O 0.3004 0.4932 0.7947
O 0.3069 0.5012 0.2015
O 0.4897 0.7951 0.3072
O 0.4930 0.2074 0.3126
O 0.5009 0.7968 0.6876
O 0.5061 0.2071 0.6938
O 0.6873 0.5008 0.7965
O 0.6947 0.5093 0.2079
O 0.7008 0.1963 0.0096
O 0.7012 0.8112 0.9993
O 0.7943 0.3062 0.4918
O 0.7951 0.6909 0.5020
O 0.7984 0.9928 0.2954
O 0.8080 0.0014 0.7040
O 0.9905 0.2935 0.8068
O 0.9955 0.7066 0.8126

Total moment: 19.0 μB per formula unit


The computed energies, referenced to the most stable structure and given in eV/atom, are arrangement w 0.023; arrangement x 0.000.


Arrangement w

DFT (PBE with a Hubbard U) results for a relaxed Sr2MgMnO4 crystal.

Cell lengths 3.9660, 3.9660, 15.3635 Å; angles 90.00, 90.00, 90.00 degrees
Atoms (fractional coordinates):
Sr 0.0000 0.0000 0.1108
Sr 0.0000 0.0000 0.8892
Sr 0.5000 0.5000 0.3892
Sr 0.5000 0.5000 0.6108
Mg 0.0000 0.5000 0.2500
Mg 0.5000 0.0000 0.7500
Mn 0.0000 0.0000 0.5000
Mn 0.5000 0.5000 0.0000
O 0.0000 0.0000 0.3046
O 0.0000 0.0000 0.6954
O 0.0000 0.5000 0.0186
O 0.0000 0.5000 0.4814
O 0.5000 0.0000 0.5186
O 0.5000 0.0000 0.9814
O 0.5000 0.5000 0.1954
O 0.5000 0.5000 0.8046

Total moment: 5.0 μB per formula unit


Arrangement x

DFT (PBE with a Hubbard U) results for a relaxed Sr2MgMnO4 crystal.

Cell lengths 5.5232, 5.5248, 7.7587 Å; angles 90.00, 90.19, 90.00 degrees
Atoms (fractional coordinates):
Sr 0.0000 0.0000 0.0000
Sr 0.0005 0.5000 0.3358
Sr 0.5000 0.5000 0.0000
Sr 0.5005 0.0000 0.3358
Mg 0.0009 0.5000 0.7750
Mg 0.5009 0.0000 0.7750
Mn 0.0001 0.0000 0.5955
Mn 0.5001 0.5000 0.5955
O 0.0041 0.5000 0.0351
O 0.0051 0.0000 0.3251
O 0.2507 0.2501 0.7082
O 0.2507 0.7499 0.7082
O 0.5041 0.0000 0.0351
O 0.5051 0.5000 0.3251
O 0.7507 0.2499 0.7082
O 0.7507 0.7501 0.7082

Total moment: 5.0 μB per formula unit


The computed energies, referenced to the most stable structure and given in eV/atom, are arrangement w 0.371; arrangement x 0.000.


Arrangement w

DFT (PBE with a Hubbard U) results for a relaxed MgCo4Cu2O8 crystal.

Cell lengths 6.4801, 6.4801, 5.8717 Å; angles 115.02, 115.02, 51.42 degrees
Atoms (fractional coordinates):
Mg 0.0000 0.0000 0.0000
Co 0.0328 0.0328 0.5115
Co 0.4631 0.9488 0.1591
Co 0.7548 0.7548 0.6972
Co 0.9488 0.4631 0.1591
Cu 0.3981 0.3981 0.6037
Cu 0.4014 0.4014 0.0988
O 0.1426 0.1426 0.8968
O 0.1544 0.1544 0.3409
O 0.1549 0.6230 0.8399
O 0.1661 0.6332 0.3505
O 0.6230 0.1549 0.8399
O 0.6332 0.1661 0.3505
O 0.6729 0.6729 0.3333
O 0.6892 0.6892 0.9343

Total moment: 1.8 μB per formula unit


Arrangement x

DFT (PBE with a Hubbard U) results for a relaxed MgCo4Cu2O8 crystal.

Cell lengths 5.8483, 5.8668, 6.1687 Å; angles 90.24, 117.40, 119.71 degrees
Atoms (fractional coordinates):
Mg 0.0000 0.0000 0.0000
Co 0.0000 0.5000 0.0000
Co 0.0000 0.5000 0.5000
Co 0.2993 0.1490 0.4667
Co 0.7007 0.8510 0.5333
Cu 0.5000 0.0000 0.0000
Cu 0.5000 0.5000 0.0000
O 0.0030 0.2503 0.7537
O 0.0072 0.7573 0.7534
O 0.4523 0.7274 0.1762
O 0.4866 0.2430 0.2485
O 0.5134 0.7570 0.7515
O 0.5477 0.2726 0.8238
O 0.9928 0.2427 0.2466
O 0.9970 0.7497 0.2463

Total moment: 3.3 μB per formula unit


The computed energies, referenced to the most stable structure and given in eV/atom, are arrangement w 0.075; arrangement x 0.000.


Arrangement w

DFT (PBE with a Hubbard U) results for a relaxed LiAlVO4 crystal.

Cell lengths 5.4881, 5.4881, 12.2056 Å; angles 90.00, 90.00, 120.00 degrees
Atoms (fractional coordinates):
Li 0.0000 0.0000 0.0000
Li 0.0000 0.0000 0.3333
Li 0.0000 0.0000 0.6667
Al 0.0000 0.5000 0.6667
Al 0.5000 0.0000 0.0000
Al 0.5000 0.5000 0.3333
V 0.0000 0.5000 0.1667
V 0.5000 0.0000 0.5000
V 0.5000 0.5000 0.8333
O 0.1868 0.3858 0.2573
O 0.1868 0.8010 0.0760
O 0.1990 0.3858 0.7427
O 0.1990 0.8132 0.5907
O 0.3858 0.1868 0.4093
O 0.3858 0.1990 0.9240
O 0.6142 0.8010 0.9240
O 0.6142 0.8132 0.4093
O 0.8010 0.1868 0.5907
O 0.8010 0.6142 0.7427
O 0.8132 0.1990 0.0760
O 0.8132 0.6142 0.2573

Total moment: 1.0 μB per formula unit


Arrangement x

DFT (PBE with a Hubbard U) results for a relaxed LiAlVO4 crystal.

Cell lengths 8.7283, 8.7283, 8.7283 Å; angles 107.54, 107.54, 107.54 degrees
Atoms (fractional coordinates):
Li 0.0317 0.4299 0.2621
Li 0.2621 0.0317 0.4299
Li 0.4299 0.2621 0.0317
Li 0.5701 0.7379 0.9683
Li 0.7379 0.9683 0.5701
Li 0.9683 0.5701 0.7379
Al 0.0612 0.2842 0.8824
Al 0.1176 0.9388 0.7158
Al 0.2842 0.8824 0.0612
Al 0.7158 0.1176 0.9388
Al 0.8824 0.0612 0.2842
Al 0.9388 0.7158 0.1176
V 0.2194 0.3889 0.6332
V 0.3668 0.7806 0.6111
V 0.3889 0.6332 0.2194
V 0.6111 0.3668 0.7806
V 0.6332 0.2194 0.3889
V 0.7806 0.6111 0.3668
O 0.0836 0.4080 0.7524
O 0.1110 0.1693 0.4500
O 0.1496 0.8147 0.8374
O 0.1626 0.8504 0.1853
O 0.1693 0.4500 0.1110
O 0.1853 0.1626 0.8504
O 0.2177 0.5451 0.5254
O 0.2476 0.9164 0.5920
O 0.4080 0.7524 0.0836
O 0.4500 0.1110 0.1693
O 0.4549 0.4746 0.7823
O 0.4746 0.7823 0.4549
O 0.5254 0.2177 0.5451
O 0.5451 0.5255 0.2177
O 0.5500 0.8890 0.8307
O 0.5920 0.2476 0.9164
O 0.7524 0.0836 0.4080
O 0.7823 0.4549 0.4746
O 0.8147 0.8374 0.1496
O 0.8307 0.5500 0.8890
O 0.8374 0.1496 0.8147
O 0.8504 0.1853 0.1626
O 0.8890 0.8307 0.5500
O 0.9164 0.5920 0.2476

Total moment: 1.0 μB per formula unit


The computed energies, referenced to the most stable structure and given in eV/atom, are arrangement w 0.014; arrangement x 0.000.